Record 1
Compound: Ca3Si3Sb2O12
Source: the Materials Project
Functional: PBE
Structure: optimized geometry

Properties
- Corrected total energy (MP2020 scheme): -7.399 eV per atom
- Electronic total energy: -0.2568 Ha/atom
- Size of the total moment: 0.001 Bohr magnetons per cell
- Calculated formation energy: -58.05 eV/f.u.
- Calculated volume: 1034 Å³/cell

Lattice parameters (Å, degrees): 11.0322 11.0322 11.0322 109.47 109.47 109.47
Element x y z (fractional)
Ca1 0.2500 0.3750 0.1250
Ca2 0.7500 0.1250 0.3750
Ca3 0.3750 0.1250 0.2500
Ca4 0.1250 0.3750 0.7500
Ca5 0.2500 0.8750 0.6250
Ca6 0.1250 0.2500 0.3750
Ca7 0.6250 0.2500 0.8750
Ca8 0.7500 0.6250 0.8750
Ca9 0.8750 0.7500 0.6250
Ca10 0.8750 0.6250 0.2500
Ca11 0.6250 0.8750 0.7500
Ca12 0.3750 0.7500 0.1250
Si1 0.1250 0.7500 0.8750
Si2 0.8750 0.2500 0.1250
Si3 0.7500 0.3750 0.6250
Si4 0.1250 0.8750 0.2500
Si5 0.2500 0.1250 0.8750
Si6 0.3750 0.6250 0.7500
Si7 0.3750 0.2500 0.6250
Si8 0.8750 0.1250 0.7500
Si9 0.6250 0.3750 0.2500
Si10 0.7500 0.8750 0.1250
Si11 0.2500 0.6250 0.3750
Si12 0.6250 0.7500 0.3750
Sb1 0.5000 0.0000 0.0000
Sb2 0.5000 0.5000 0.0000
Sb3 0.0000 0.5000 0.5000
Sb4 0.0000 0.0000 0.5000
Sb5 0.5000 0.5000 0.5000
Sb6 0.0000 0.5000 0.0000
Sb7 0.5000 0.0000 0.5000
Sb8 0.0000 0.0000 0.0000
O1 0.5966 0.8895 0.3750
O2 0.3750 0.5966 0.8895
O3 0.2784 0.2929 0.9034
O4 0.4855 0.6105 0.2071
O5 0.2929 0.8895 0.0145
O6 0.1250 0.0145 0.2216
O7 0.3750 0.2784 0.4855
O8 0.8895 0.3750 0.5966
O9 0.2071 0.2216 0.5966
O10 0.4855 0.3750 0.2784
O11 0.8895 0.0145 0.2929
O12 0.6105 0.9034 0.1250
O13 0.9034 0.1250 0.6105
O14 0.2784 0.4855 0.3750
O15 0.5966 0.2071 0.2216
O16 0.2216 0.5966 0.2071
O17 0.0145 0.2929 0.8895
O18 0.9034 0.2784 0.2929
O19 0.0145 0.2216 0.1250
O20 0.7929 0.7784 0.4034
O21 0.2071 0.4855 0.6105
O22 0.6105 0.2071 0.4855
O23 0.2216 0.1250 0.0145
O24 0.1250 0.6105 0.9034
O25 0.4034 0.1105 0.6250
O26 0.6250 0.4034 0.1105
O27 0.7216 0.7071 0.0966
O28 0.5145 0.3895 0.7929
O29 0.7071 0.1105 0.9855
O30 0.8750 0.9855 0.7784
O31 0.6250 0.7216 0.5145
O32 0.1105 0.6250 0.4034
O33 0.8750 0.3895 0.0966
O34 0.7784 0.8750 0.9855
O35 0.3895 0.7929 0.5145
O36 0.7071 0.0966 0.7216
O37 0.7929 0.5145 0.3895
O38 0.9855 0.7784 0.8750
O39 0.0966 0.7216 0.7071
O40 0.9855 0.7071 0.1105
O41 0.7784 0.4034 0.7929
O42 0.4034 0.7929 0.7784
O43 0.7216 0.5145 0.6250
O44 0.0966 0.8750 0.3895
O45 0.3895 0.0966 0.8750
O46 0.1105 0.9855 0.7071
O47 0.5145 0.6250 0.7216
O48 0.2929 0.9034 0.2784

Record 2
Compound: MgAg2
Source: the Materials Project
Functional: PBE
Structure: optimized geometry

Properties
- Distance to the lowest polymorph of the same formula: 0.006 eV/atom
- Electronic total energy: -0.0954 Ha/atom
- Calculated formation energy: -0.52 eV/f.u.
- Calculated volume: 110 Å³/cell

Lattice parameters (Å, degrees): 5.0667 5.0667 6.1116 58.83 58.83 61.19
Element x y z (fractional)
Mg1 0.8941 0.1059 0.7500
Mg2 0.1059 0.8941 0.2500
Ag1 0.5715 0.7653 0.7457
Ag2 0.4285 0.2347 0.2543
Ag3 0.7653 0.5715 0.2457
Ag4 0.2347 0.4285 0.7543

Record 3
Compound: DyScSb
Source: the Materials Project
Functional: PBE
Structure: optimized geometry

Properties
- Corrected total energy (MP2020 scheme): -5.940 eV per atom
- Electronic total energy: -0.2159 Ha/atom
- Calculated formation energy: -2.75 eV/f.u.
- Calculated volume: 154 Å³/cell

Lattice parameters (Å, degrees): 4.3448 4.3448 8.1827 90.00 90.00 90.00
Element x y z (fractional)
Dy1 0.0000 0.5000 0.6517
Dy2 0.5000 0.0000 0.3483
Sc1 0.0000 0.0000 0.0000
Sc2 0.5000 0.5000 0.0000
Sb1 0.0000 0.5000 0.2657
Sb2 0.5000 0.0000 0.7343

Record 4
Compound: IrN2
Source: the Materials Project
Functional: PBE
Structure: optimized geometry

Properties
- Corrected total energy (MP2020 scheme): -8.288 eV per atom
- Electronic total energy: -0.2957 Ha/atom
- Size of the total moment: 0.000 Bohr magnetons per cell
- Calculated formation energy: 0.65 eV/f.u.
- Calculated volume: 56 Å³/cell

Lattice parameters (Å, degrees): 2.7801 4.0955 4.9303 90.00 90.00 90.00
Element x y z (fractional)
Ir1 0.5000 0.5000 0.5000
Ir2 0.0000 0.0000 0.0000
N1 0.5000 0.3719 0.9087
N2 0.5000 0.6281 0.0913
N3 0.0000 0.1281 0.4087
N4 0.0000 0.8719 0.5913

Record 5
Compound: CdTe2Pb
Source: the Materials Project
Functional: PBE
Structure: optimized geometry

Properties
- Electronic total energy: -0.1119 Ha/atom
- Size of the total moment: 0.000 Bohr magnetons per cell
- Calculated formation energy: -1.26 eV/f.u.
- Calculated volume: 129 Å³/cell

Lattice parameters (Å, degrees): 4.5014 4.5014 6.3686 90.00 90.00 90.00
Element x y z (fractional)
Cd1 0.0000 0.0000 0.0000
Te1 0.0000 0.0000 0.5000
Te2 0.5000 0.5000 0.0000
Pb1 0.5000 0.5000 0.5000

Record 6
Compound: NaSbF6
Source: the Materials Project
Functional: PBE
Structure: optimized geometry

Properties
- Corrected total energy (MP2020 scheme): -4.982 eV per atom
- Electronic total energy: -0.1704 Ha/atom
- Calculated formation energy: -22.92 eV/f.u.
- Calculated volume: 152 Å³/cell

Lattice parameters (Å, degrees): 5.9889 5.9889 5.9889 60.00 60.00 60.00
Element x y z (fractional)
Na1 0.5000 0.5000 0.5000
Sb1 0.0000 0.0000 0.0000
F1 0.7737 0.2263 0.2263
F2 0.2263 0.7737 0.2263
F3 0.2263 0.7737 0.7737
F4 0.2263 0.2263 0.7737
F5 0.7737 0.7737 0.2263
F6 0.7737 0.2263 0.7737

Record 7
Compound: LaB4Rh7
Source: the Materials Project
Functional: PBE
Structure: optimized geometry

Properties
- Electronic total energy: -0.2668 Ha/atom
- Size of the total moment: 1.757 Bohr magnetons per cell
- Calculated formation energy: -3.91 eV/f.u.
- Calculated volume: 158 Å³/cell

Lattice parameters (Å, degrees): 2.9169 5.6144 9.6718 90.00 90.00 90.00
Element x y z (fractional)
La1 0.0000 0.0000 0.0000
B1 0.0000 0.9991 0.3330
B2 0.0000 0.5004 0.8320
B3 0.0000 0.5004 0.1680
B4 0.0000 0.9991 0.6670
Rh1 0.5000 0.0058 0.5000
Rh2 0.5000 0.5006 0.0000
Rh3 0.5000 0.2571 0.2594
Rh4 0.5000 0.7403 0.7380
Rh5 0.5000 0.7403 0.2620
Rh6 0.5000 0.2571 0.7406
Rh7 0.0000 0.4996 0.5000

Record 8
Compound: HfNi
Source: the Materials Project
Functional: PBE
Structure: optimized geometry

Properties
- Electronic total energy: -0.3082 Ha/atom
- Calculated formation energy: -1.04 eV/f.u.
- Calculated volume: 65 Å³/cell

Lattice parameters (Å, degrees): 5.1483 5.1483 4.0858 90.00 90.00 143.34
Element x y z (fractional)
Hf1 0.8597 0.1403 0.7500
Hf2 0.1403 0.8597 0.2500
Ni1 0.5837 0.4163 0.7500
Ni2 0.4163 0.5837 0.2500

> Which formula does entry 2 have?

MgAg2